No. 1
KPaO3 | PBE | optimized geometry

Cell and atoms, written as CIF:
```
data_KPaO3
_chemical_formula_sum 'K1 Pa1 O3'
_space_group_name_H-M_alt 'P 1'
_space_group_IT_number 1
_space_group_name_Hall 'P 1'
_cell_length_a 4.387
_cell_length_b 4.387
_cell_length_c 4.387
_cell_angle_alpha 90.00
_cell_angle_beta 90.00
_cell_angle_gamma 90.00
loop_
_atom_site_label
_atom_site_type_symbol
_atom_site_fract_x
_atom_site_fract_y
_atom_site_fract_z
_atom_site_occupancy
K1 K 0.000 0.000 0.000 1
Pa1 Pa 0.500 0.500 0.500 1
O1 O 0.000 0.500 0.500 1
O2 O 0.500 0.000 0.500 1
O3 O 0.500 0.500 0.000 1
```

Raw total energy (eV/atom): -8.2442
Symmetry: Pm-3m, No. 221

=====

No. 2
K2PbO6 | PBE | optimized geometry

Cell and atoms, written as CIF:
```
data_K2PbO6
_chemical_formula_sum 'K2 Pb1 O6'
_space_group_name_H-M_alt 'P 1'
_space_group_IT_number 1
_space_group_name_Hall 'P 1'
_cell_length_a 5.393
_cell_length_b 5.822
_cell_length_c 5.994
_cell_angle_alpha 108.60
_cell_angle_beta 94.94
_cell_angle_gamma 103.75
loop_
_atom_site_label
_atom_site_type_symbol
_atom_site_fract_x
_atom_site_fract_y
_atom_site_fract_z
_atom_site_occupancy
K1 K 0.191 0.296 0.055 1
K2 K 0.809 0.704 0.945 1
Pb1 Pb 0.500 0.000 0.500 1
O1 O 0.058 0.962 0.581 1
O2 O 0.366 0.798 0.153 1
O3 O 0.419 0.567 0.548 1
O4 O 0.581 0.433 0.452 1
O5 O 0.634 0.202 0.847 1
O6 O 0.942 0.038 0.419 1
```

Magnetization (μB per formula unit): 2.0
Raw total energy (eV/atom): -4.6598
Symmetry: P-1, No. 2

=====

No. 3
KPbO3 | PBE | optimized geometry

Cell and atoms, written as CIF:
```
data_KPbO3
_chemical_formula_sum 'K1 Pb1 O3'
_space_group_name_H-M_alt 'P 1'
_space_group_IT_number 1
_space_group_name_Hall 'P 1'
_cell_length_a 4.361
_cell_length_b 4.361
_cell_length_c 4.361
_cell_angle_alpha 90.00
_cell_angle_beta 90.00
_cell_angle_gamma 90.00
loop_
_atom_site_label
_atom_site_type_symbol
_atom_site_fract_x
_atom_site_fract_y
_atom_site_fract_z
_atom_site_occupancy
K1 K 0.000 0.000 0.000 1
Pb1 Pb 0.500 0.500 0.500 1
O1 O 0.000 0.500 0.500 1
O2 O 0.500 0.000 0.500 1
O3 O 0.500 0.500 0.000 1
```

Magnetization (μB per formula unit): 1.0
Raw total energy (eV/atom): -4.7254
Symmetry: Pm-3m, No. 221